(1)
Density functional theory data (GGA+U) for a relaxed Li3FeF6 crystal.

Lattice parameters (Å, degrees): 4.9717 4.9717 4.9363 90.00 90.00 120.00
Space group P-31m (No. 162)
One atom of each set of equivalent atoms:
Li 0.0000 0.0000 0.0000 [1 per cell]
Li 0.3333 0.6667 0.0000 [2 per cell]
Fe 0.0000 0.0000 0.5000 [1 per cell]
F 0.0000 0.3066 0.7579 [6 per cell]

Properties
**Formation energy**: -2793 kJ/mol of formula units
**Excess energy over the best structure of this formula in the dataset**: 0.088 eV/atom

=====

(2)
Density functional theory data (GGA+U) for a relaxed Ca2Fe22O33 crystal.

Lattice parameters (Å, degrees): 6.0042 6.0042 62.9870 90.00 90.00 120.00
Space group R32 (No. 155, hexagonal axes)
One atom of each set of equivalent atoms:
Ca 0.0000 0.0000 0.0486 [6 per cell]
Fe 0.0000 0.0000 0.1173 [6 per cell]
Fe 0.0000 0.0000 0.2059 [6 per cell]
Fe 0.0000 0.0000 0.2964 [6 per cell]
Fe 0.0000 0.0000 0.3803 [6 per cell]
Fe 0.0000 0.0000 0.4699 [6 per cell]
Fe 0.0000 0.5003 0.5000 [9 per cell]
Fe 0.0000 0.6653 0.0000 [9 per cell]
Fe 0.0037 0.5106 0.0869 [18 per cell]
O 0.0000 0.0000 0.0000 [3 per cell]
O 0.0000 0.0000 0.1465 [6 per cell]
O 0.0000 0.0000 0.2638 [6 per cell]
O 0.0000 0.0000 0.3301 [6 per cell]
O 0.0000 0.0000 0.4392 [6 per cell]
O 0.0121 0.6254 0.0321 [18 per cell]
O 0.0170 0.5081 0.8542 [18 per cell]
O 0.0235 0.5104 0.4397 [18 per cell]
O 0.0349 0.5041 0.2640 [18 per cell]

Properties
**Formation energy**: -9497 kJ/mol of formula units

=====

(3)
Density functional theory data (GGA+U) for a relaxed Mg14CrBO16 crystal.

Lattice parameters (Å, degrees): 4.248 8.522 8.555 90.00 90.00 90.00
Space group Pmmm (No. 47)
One atom of each set of equivalent atoms:
Mg 0.000 0.000 0.000 [1 per cell]
Mg 0.000 0.000 0.500 [1 per cell]
Mg 0.000 0.252 0.245 [4 per cell]
Mg 0.500 0.000 0.249 [2 per cell]
Mg 0.500 0.250 0.500 [2 per cell]
Mg 0.500 0.253 0.000 [2 per cell]
Mg 0.500 0.500 0.244 [2 per cell]
Cr 0.000 0.500 0.500 [1 per cell]
B 0.000 0.500 0.000 [1 per cell]
O 0.000 0.000 0.253 [2 per cell]
O 0.000 0.242 0.000 [2 per cell]
O 0.000 0.254 0.500 [2 per cell]
O 0.000 0.500 0.255 [2 per cell]
O 0.500 0.000 0.000 [1 per cell]
O 0.500 0.000 0.500 [1 per cell]
O 0.500 0.251 0.250 [4 per cell]
O 0.500 0.500 0.000 [1 per cell]
O 0.500 0.500 0.500 [1 per cell]

Properties
**Formation energy**: -8467 kJ/mol of formula units
**Excess energy over the best structure of this formula in the dataset**: 0.000 eV/atom

=====

(4)
Density functional theory data (GGA+U) for a relaxed ZnCo2O5 crystal.

Lattice parameters (Å, degrees): 3.211 4.869 11.446 89.60 90.00 89.90
Space group P1 (No. 1)
One atom of each set of equivalent atoms:
Zn 0.000 0.000 0.000 [1 per cell]
Zn 0.499 0.787 0.502 [1 per cell]
Co 0.001 0.313 0.351 [1 per cell]
Co 0.001 0.315 0.649 [1 per cell]
Co 0.498 0.473 0.149 [1 per cell]
Co 0.499 0.473 0.849 [1 per cell]
O 0.000 0.978 0.610 [1 per cell]
O 0.001 0.273 0.814 [1 per cell]
O 0.002 0.276 0.186 [1 per cell]
O 0.499 0.511 0.314 [1 per cell]
O 0.499 0.516 0.684 [1 per cell]
O 0.500 0.305 0.999 [1 per cell]
O 0.500 0.810 0.106 [1 per cell]
O 0.501 0.808 0.890 [1 per cell]
O 0.998 0.977 0.394 [1 per cell]
O 0.999 0.481 0.500 [1 per cell]

Properties
**Formation energy**: -806 kJ/mol of formula units
**Excess energy over the best structure of this formula in the dataset**: 0.019 eV/atom

=====

(5)
Density functional theory data (GGA+U) for a relaxed NaVH2O2F4 crystal.

Lattice parameters (Å, degrees): 10.264 9.728 4.977 90.00 90.00 90.00
Space group Pna2_1 (No. 33)
One atom of each set of equivalent atoms:
Na 0.131 0.093 0.000 [4 per cell]
V 0.105 0.723 0.963 [4 per cell]
H 0.186 0.376 0.687 [4 per cell]
H 0.211 0.879 0.414 [4 per cell]
O 0.029 0.610 0.789 [4 per cell]
O 0.222 0.895 0.221 [4 per cell]
F 0.016 0.247 0.733 [4 per cell]
F 0.045 0.887 0.804 [4 per cell]
F 0.202 0.612 0.184 [4 per cell]
F 0.248 0.248 0.250 [4 per cell]

Properties
**Formation energy**: -2312 kJ/mol of formula units

=====

(6)
Density functional theory data (GGA+U) for a relaxed Mo4O9 crystal.

Lattice parameters (Å, degrees): 6.804 6.804 3.852 90.00 90.00 90.00
Space group P4/m (No. 83)
One atom of each set of equivalent atoms:
Mo 0.127 0.304 0.000 [4 per cell]
O 0.000 0.000 0.000 [1 per cell]
O 0.130 0.300 0.500 [4 per cell]
O 0.162 0.606 0.000 [4 per cell]

Properties
**Formation energy**: -2338 kJ/mol of formula units